Model 1:
NbO3 PBE optimized geometry; space-group type = No. 204
1.0
-3.9750 3.9750 3.9750
3.9750 -3.9750 3.9750
3.9750 3.9750 -3.9750
O Nb
12 4
Direct
0.9668 0.7339 0.2329 O
0.0332 0.2661 0.7671 O
0.7339 0.2329 0.9668 O
0.4991 0.2661 0.2329 O
0.7339 0.7671 0.5009 O
0.2661 0.7671 0.0332 O
0.5009 0.7339 0.7671 O
0.7671 0.5009 0.7339 O
0.2329 0.9668 0.7339 O
0.7671 0.0332 0.2661 O
0.2661 0.2329 0.4991 O
0.2329 0.4991 0.2661 O
0.5000 0.5000 0.5000 Nb
0.0000 0.5000 0.0000 Nb
0.0000 0.0000 0.5000 Nb
0.5000 0.0000 0.0000 Nb


Model 2:
NbO3 PBE optimized geometry; space-group type = No. 194
1.0
0.3919 4.4159 -1.6551
-4.2535 -1.7286 1.1457
0.4214 1.2634 3.4706
O Nb
6 2
Direct
0.6377 0.8189 0.2500 O
0.8189 0.6377 0.7500 O
0.1811 0.8189 0.2500 O
0.1811 0.3623 0.2500 O
0.8189 0.1811 0.7500 O
0.3623 0.1811 0.7500 O
0.3333 0.6667 0.7500 Nb
0.6667 0.3333 0.2500 Nb


Model 3:
NbO3 PBE optimized geometry; space-group type = No. 99
1.0
-2.9799 -1.9930 1.7419
-1.5125 -0.8705 -3.5834
2.1808 -3.3532 -0.1059
Nb O
1 3
Direct
0.0000 0.0000 0.9860 Nb
0.5000 0.0000 0.0080 O
0.0000 0.5000 0.0080 O
0.0000 0.0000 0.5021 O


The data favor model 3; the next most stable structure lies 7 meV/atom above it.